Entry 1:
## K2CrSO7 (GGA+U)

Data for crystalline K2CrSO7 at its relaxed geometry.

space-group type	P2_1/c (14)
DFT total energy	-265.0	eV per cell
calculated density	2.4	g/cm³

The structure in POSCAR format:
```
K2CrSO7
1.0
7.5303 0.0000 0.0000
0.0000 7.5231 0.0000
-7.1954 0.0000 13.1881
K Cr S O
8 4 4 28
direct
0.0238 0.1194 0.1559 K
0.0238 0.3806 0.6559 K
0.4583 0.7074 0.6358 K
0.4583 0.7926 0.1358 K
0.5417 0.2074 0.8642 K
0.5417 0.2926 0.3642 K
0.9762 0.6194 0.3441 K
0.9762 0.8806 0.8441 K
0.0926 0.1687 0.4195 Cr
0.0926 0.3313 0.9195 Cr
0.9074 0.6687 0.0805 Cr
0.9074 0.8313 0.5805 Cr
0.4972 0.7088 0.8835 S
0.4972 0.7912 0.3835 S
0.5028 0.2088 0.6165 S
0.5028 0.2912 0.1165 S
0.0384 0.7030 0.5455 O
0.0384 0.7970 0.0455 O
0.0388 0.0034 0.6412 O
0.0388 0.4966 0.1412 O
0.1560 0.2155 0.8468 O
0.1560 0.2845 0.3468 O
0.3229 0.0921 0.5304 O
0.3229 0.4079 0.0304 O
0.3729 0.5744 0.8093 O
0.3729 0.9256 0.3093 O
0.3963 0.7007 0.4334 O
0.3963 0.7993 0.9334 O
0.4065 0.1672 0.1561 O
0.4065 0.3328 0.6561 O
0.5935 0.6672 0.3439 O
0.5935 0.8328 0.8439 O
0.6037 0.2007 0.0666 O
0.6037 0.2993 0.5666 O
0.6271 0.0744 0.6907 O
0.6271 0.4256 0.1907 O
0.6771 0.5921 0.9696 O
0.6771 0.9079 0.4696 O
0.8440 0.7155 0.6532 O
0.8440 0.7845 0.1532 O
0.9612 0.5034 0.8588 O
0.9612 0.9966 0.3588 O
0.9616 0.2030 0.9545 O
0.9616 0.2970 0.4545 O
```

Entry 2:
## KTbCr2O8 (GGA+U)

Data for crystalline KTbCr2O8 at its relaxed geometry.

space-group type	P2_12_12_1 (19)
DFT total energy	-332.9	eV per cell
calculated density	3.8	g/cm³

The structure in POSCAR format:
```
KTbCr2O8
1.0
5.8119 0.0000 0.0000
0.0000 9.2137 0.0000
0.0000 0.0000 13.9103
K Tb Cr O
4 4 8 32
direct
0.2372 0.0910 0.0874 K
0.2628 0.9090 0.5874 K
0.7372 0.4090 0.9126 K
0.7628 0.5910 0.4126 K
0.2232 0.4579 0.6422 Tb
0.2768 0.5421 0.1422 Tb
0.7232 0.0421 0.3578 Tb
0.7768 0.9579 0.8578 Tb
0.2283 0.3157 0.3826 Cr
0.2326 0.1530 0.8378 Cr
0.2674 0.8470 0.3378 Cr
0.2717 0.6843 0.8826 Cr
0.7283 0.1843 0.6174 Cr
0.7326 0.3470 0.1622 Cr
0.7674 0.6530 0.6622 Cr
0.7717 0.8157 0.1174 Cr
0.0048 0.1567 0.9126 O
0.0160 0.1969 0.3962 O
0.0195 0.7679 0.8927 O
0.0282 0.8797 0.4019 O
0.1721 0.0153 0.7666 O
0.2053 0.3896 0.2739 O
0.2071 0.4450 0.4662 O
0.2460 0.6908 0.2792 O
0.2540 0.3092 0.7792 O
0.2929 0.5550 0.9662 O
0.2947 0.6104 0.7739 O
0.3279 0.9847 0.2666 O
0.4718 0.1203 0.9019 O
0.4805 0.2321 0.3927 O
0.4840 0.8031 0.8962 O
0.4952 0.8433 0.4126 O
0.5048 0.3433 0.0874 O
0.5160 0.3031 0.6038 O
0.5195 0.7321 0.1073 O
0.5282 0.6203 0.5981 O
0.6721 0.4847 0.2334 O
0.7053 0.1104 0.7261 O
0.7071 0.0550 0.5338 O
0.7460 0.8092 0.7208 O
0.7540 0.1908 0.2208 O
0.7929 0.9450 0.0338 O
0.7947 0.8896 0.2261 O
0.8279 0.5153 0.7334 O
0.9718 0.3797 0.0981 O
0.9805 0.2679 0.6073 O
0.9840 0.6969 0.1038 O
0.9952 0.6567 0.5874 O
```